Entry 1:
# Nd2CuSi3Rh2, optimized geometry, DFT PBE
# Final energy, eV/cell: -103.89
# Calculated formation energy, meV/atom: -913
data_Nd2CuSi3Rh2
_cell_length_a 4.103
_cell_length_b 4.133
_cell_length_c 17.168
_cell_angle_alpha 90.00
_cell_angle_beta 90.00
_cell_angle_gamma 90.00
_symmetry_space_group_name_H-M 'A m m 2'
_symmetry_Int_Tables_number 38
loop_
_symmetry_equiv_pos_as_xyz
'x,y,z'
'-x,-y,z'
'-x,y,z'
'x,-y,z'
'x,y+1/2,z+1/2'
'-x,-y+1/2,z+1/2'
'-x,y+1/2,z+1/2'
'x,-y+1/2,z+1/2'
loop_
_atom_site_label
_atom_site_fract_x
_atom_site_fract_y
_atom_site_fract_z
Nd1 0.000 0.000 0.000
Nd2 0.500 0.000 0.205
Cu1 0.500 0.000 0.568
Si1 0.000 0.000 0.636
Si2 0.000 0.000 0.778
Si3 0.500 0.000 0.427
Rh1 0.000 0.000 0.353
Rh2 0.500 0.000 0.853

=====

Entry 2:
# Nd2CuSi3Rh2, optimized geometry, DFT PBE
# Final energy, eV/cell: -100.55
# Calculated formation energy, meV/atom: -705
data_Nd2CuSi3Rh2
_cell_length_a 4.125
_cell_length_b 4.241
_cell_length_c 17.080
_cell_angle_alpha 90.00
_cell_angle_beta 90.00
_cell_angle_gamma 90.00
_symmetry_space_group_name_H-M 'A m m 2'
_symmetry_Int_Tables_number 38
loop_
_symmetry_equiv_pos_as_xyz
'x,y,z'
'-x,-y,z'
'-x,y,z'
'x,-y,z'
'x,y+1/2,z+1/2'
'-x,-y+1/2,z+1/2'
'-x,y+1/2,z+1/2'
'x,-y+1/2,z+1/2'
loop_
_atom_site_label
_atom_site_fract_x
_atom_site_fract_y
_atom_site_fract_z
Nd1 0.000 0.000 0.000
Nd2 0.500 0.000 0.212
Cu1 0.500 0.000 0.440
Si1 0.000 0.000 0.645
Si2 0.000 0.000 0.789
Si3 0.500 0.000 0.573
Rh1 0.000 0.000 0.352
Rh2 0.500 0.000 0.853